Here is a relaxed structure of Na10Al4Si7Sn4S5O48 from Materials Project. Energies are from PBE.

abc: 17.651 8.845 22.230
angles: 89.81 90.16 120.02
Positions (direct):
Na: 0.182 0.372 0.245
Na: 0.682 0.372 0.245
Na: 0.995 0.627 0.253
Na: 0.496 0.627 0.253
Na: 0.495 0.362 0.756
Na: 0.182 0.992 0.748
Na: 0.684 0.995 0.747
Na: 0.656 0.337 0.580
Na: 0.018 0.706 0.581
Na: 0.829 0.960 0.589
Na: 0.489 0.667 0.912
Na: 0.990 0.670 0.911
Na: 0.850 0.036 0.909
Na: 0.161 0.292 0.921
Na: 0.489 0.312 0.412
Na: 0.988 0.310 0.412
Na: 0.351 0.664 0.409
Na: 0.851 0.664 0.413
Na: 0.015 0.004 0.498
Na: 0.511 0.994 0.496
Na: 0.009 0.014 0.999
Na: 0.512 0.030 0.996
Na: 0.337 0.324 0.833
Na: 0.839 0.335 0.828
Na: 0.333 0.332 0.330
Na: 0.833 0.332 0.331
Na: 0.173 0.661 0.162
Na: 0.672 0.661 0.162
Na: 0.172 0.676 0.667
Na: 0.671 0.682 0.666
Al: 0.001 0.002 0.353
Al: 0.502 0.001 0.353
Al: 0.998 0.995 0.851
Al: 0.498 0.000 0.855
Al: 0.333 0.318 0.691
Al: 0.833 0.334 0.688
Al: 0.335 0.351 0.187
Al: 0.835 0.352 0.188
Al: 0.160 0.647 0.017
Al: 0.656 0.643 0.018
Al: 0.162 0.672 0.517
Al: 0.662 0.665 0.521
Si: 0.357 0.717 0.251
Si: 0.857 0.717 0.252
Si: 0.992 0.283 0.252
Si: 0.492 0.283 0.252
Si: 0.993 0.697 0.752
Si: 0.492 0.700 0.753
Si: 0.357 0.997 0.752
Si: 0.857 0.008 0.752
Si: 0.191 0.038 0.587
Si: 0.686 0.036 0.587
Si: 0.830 0.622 0.585
Si: 0.190 0.344 0.085
Si: 0.688 0.344 0.087
Si: 0.021 0.369 0.919
Si: 0.522 0.364 0.918
Si: 0.164 0.952 0.920
Si: 0.662 0.953 0.921
Si: 0.163 0.371 0.420
Si: 0.662 0.366 0.419
Si: 0.023 0.678 0.418
Si: 0.525 0.679 0.420
Sn: 0.000 0.989 0.650
Sn: 0.497 0.983 0.650
Sn: 0.001 0.013 0.147
Sn: 0.501 0.013 0.147
Sn: 0.331 0.319 0.982
Sn: 0.826 0.323 0.983
Sn: 0.328 0.333 0.482
Sn: 0.829 0.340 0.483
Sn: 0.165 0.655 0.315
Sn: 0.665 0.655 0.315
Sn: 0.163 0.673 0.815
Sn: 0.666 0.676 0.816
S: 0.147 0.003 0.252
S: 0.647 0.003 0.251
S: 0.147 0.293 0.751
S: 0.647 0.290 0.751
S: 0.479 0.335 0.585
S: 0.981 0.337 0.584
S: 0.330 0.623 0.584
S: 0.480 0.625 0.085
S: 0.981 0.625 0.085
S: 0.329 0.037 0.086
S: 0.830 0.039 0.085
S: 0.312 0.673 0.919
S: 0.811 0.668 0.919
S: 0.310 0.953 0.418
S: 0.811 0.955 0.419
O: 0.106 0.034 0.304
O: 0.606 0.034 0.304
O: 0.420 0.805 0.310
O: 0.920 0.806 0.310
O: 0.483 0.168 0.312
O: 0.983 0.169 0.312
O: 0.106 0.181 0.805
O: 0.604 0.176 0.803
O: 0.483 0.798 0.812
O: 0.986 0.801 0.811
O: 0.425 0.039 0.806
O: 0.917 0.028 0.811
O: 0.395 0.972 0.688
O: 0.896 0.978 0.688
O: 0.093 0.221 0.696
O: 0.593 0.224 0.694
O: 0.024 0.824 0.692
O: 0.527 0.830 0.694
O: 0.400 0.826 0.190
O: 0.900 0.826 0.190
O: 0.027 0.219 0.195
O: 0.527 0.218 0.195
O: 0.092 0.961 0.196
O: 0.592 0.960 0.196
O: 0.435 0.357 0.638
O: 0.938 0.364 0.635
O: 0.251 0.142 0.645
O: 0.749 0.131 0.644
O: 0.321 0.514 0.636
O: 0.815 0.487 0.639
O: 0.437 0.515 0.138
O: 0.937 0.515 0.138
O: 0.322 0.130 0.138
O: 0.823 0.134 0.137
O: 0.249 0.357 0.144
O: 0.748 0.359 0.146
O: 0.230 0.308 0.023
O: 0.728 0.303 0.026
O: 0.427 0.548 0.029
O: 0.928 0.549 0.028
O: 0.350 0.144 0.029
O: 0.850 0.144 0.027
O: 0.230 0.153 0.525
O: 0.726 0.161 0.526
O: 0.349 0.557 0.527
O: 0.860 0.562 0.523
O: 0.427 0.305 0.528
O: 0.928 0.299 0.527
O: 0.269 0.695 0.972
O: 0.769 0.694 0.971
O: 0.087 0.459 0.975
O: 0.583 0.463 0.974
O: 0.150 0.820 0.975
O: 0.652 0.822 0.976
O: 0.267 0.844 0.471
O: 0.770 0.847 0.472
O: 0.152 0.481 0.475
O: 0.648 0.464 0.477
O: 0.080 0.699 0.478
O: 0.587 0.697 0.475
O: 0.061 0.635 0.357
O: 0.558 0.631 0.356
O: 0.258 0.886 0.363
O: 0.758 0.885 0.363
O: 0.192 0.492 0.358
O: 0.690 0.492 0.359
O: 0.059 0.492 0.859
O: 0.558 0.486 0.856
O: 0.187 0.890 0.856
O: 0.692 0.892 0.858
O: 0.256 0.630 0.863
O: 0.759 0.631 0.863
O: 0.006 0.842 0.409
O: 0.506 0.840 0.410
O: 0.397 0.967 0.414
O: 0.898 0.969 0.412
O: 0.074 0.183 0.410
O: 0.573 0.179 0.409
O: 0.008 0.174 0.909
O: 0.510 0.173 0.908
O: 0.076 0.971 0.910
O: 0.574 0.963 0.910
O: 0.399 0.829 0.912
O: 0.899 0.828 0.913
O: 0.491 0.181 0.589
O: 0.991 0.181 0.589
O: 0.092 0.018 0.589
O: 0.590 0.033 0.589
O: 0.409 0.802 0.586
O: 0.915 0.822 0.587
O: 0.489 0.800 0.089
O: 0.989 0.800 0.089
O: 0.408 0.015 0.088
O: 0.909 0.017 0.087
O: 0.092 0.159 0.087
O: 0.591 0.160 0.088
O: 0.344 0.171 0.745
O: 0.840 0.172 0.744
O: 0.233 0.304 0.744
O: 0.732 0.303 0.744
O: 0.408 0.506 0.739
O: 0.906 0.510 0.741
O: 0.344 0.517 0.244
O: 0.845 0.518 0.244
O: 0.408 0.309 0.239
O: 0.908 0.309 0.239
O: 0.234 0.162 0.244
O: 0.734 0.161 0.244
O: 0.324 0.518 0.923
O: 0.828 0.518 0.923
O: 0.427 0.368 0.924
O: 0.925 0.360 0.926
O: 0.247 0.156 0.921
O: 0.752 0.147 0.922
O: 0.327 0.136 0.423
O: 0.827 0.137 0.424
O: 0.253 0.357 0.421
O: 0.751 0.352 0.419
O: 0.426 0.492 0.425
O: 0.927 0.488 0.421
O: 0.181 0.519 0.076
O: 0.680 0.520 0.076
O: 0.067 0.640 0.079
O: 0.567 0.641 0.079
O: 0.250 0.867 0.079
O: 0.751 0.868 0.079
O: 0.178 0.840 0.577
O: 0.679 0.847 0.576
O: 0.250 0.637 0.577
O: 0.742 0.638 0.575
O: 0.068 0.497 0.577
O: 0.566 0.492 0.580
O: 0.157 0.847 0.258
O: 0.657 0.847 0.258
O: 0.258 0.693 0.254
O: 0.758 0.692 0.255
O: 0.079 0.486 0.254
O: 0.579 0.486 0.254
O: 0.159 0.470 0.757
O: 0.656 0.466 0.757
O: 0.083 0.683 0.753
O: 0.579 0.672 0.754
O: 0.259 0.823 0.755
O: 0.758 0.826 0.755

Results
MP2020-corrected energy   -6.856 eV per atom
Calculated volume   12.84 Å³ per atom
DFT formation energy   -2.492 eV per atom